Here is a geometry-optimized KSb4F13 structure from Materials Project. Energies are from PBE-GGA.

Cell lengths 7.8274, 7.8274, 7.8274 Å; angles 98.32, 98.32, 135.29 degrees
Closest atoms and distances in Å follow each position.
Fractional positions:
K 0.0000 0.0000 0.0000  10 F 2.81-2.98
Sb 0.2310 0.4976 0.7286  3 F 1.96-1.98
Sb 0.4976 0.7690 0.2666  3 F 1.96-1.98
Sb 0.5024 0.2310 0.7334  3 F 1.96-1.98
Sb 0.7690 0.5024 0.2714  3 F 1.96-1.98
F 0.0582 0.3698 0.9085  1 Sb 1.96
F 0.0756 0.6135 0.6891  1 Sb 1.98
F 0.1496 0.0582 0.6884  1 Sb 1.96
F 0.3698 0.4612 0.3116  1 Sb 1.96
F 0.3865 0.0756 0.4622  1 Sb 1.98
F 0.4612 0.1496 0.0915  1 Sb 1.96
F 0.5000 0.5000 0.0000  8 F 2.75, 4 Sb 2.75, 2 K 2.98
F 0.5388 0.8504 0.9085  1 Sb 1.96
F 0.6135 0.9244 0.5378  1 Sb 1.98
F 0.6302 0.5388 0.6884  1 Sb 1.96
F 0.8504 0.9418 0.3116  1 Sb 1.96
F 0.9244 0.3865 0.3109  1 Sb 1.98
F 0.9418 0.6302 0.0915  1 Sb 1.96

Values from the calculation:
MP2020-corrected energy	-90.91	eV per formula unit
DFT formation energy	-2.69	eV per atom
total magnetization	0.003	μB per cell
energy relative to the lowest polymorph listed for this composition	67	meV per atom
space group	I4/m, No. 87



Here is a geometry-optimized Nd3GaFeS7 structure from Materials Project. Energies are from PBE-GGA.

Cell lengths 9.9791, 9.9791, 6.1061 Å; angles 90.00, 90.00, 120.00 degrees
Closest atoms and distances in Å follow each position.
Fractional positions:
Nd 0.1492 0.3756 0.0000  7 S 2.84-3.03
Nd 0.2264 0.8508 0.0000  7 S 2.84-3.03
Nd 0.3756 0.2264 0.5000  7 S 2.84-3.03
Nd 0.6244 0.7736 0.0000  7 S 2.84-3.03
Nd 0.7736 0.1492 0.5000  7 S 2.84-3.03
Nd 0.8508 0.6244 0.5000  7 S 2.84-3.03
Ga 0.3333 0.6667 0.4222  4 S 2.26-2.30
Ga 0.6667 0.3333 0.9222  4 S 2.26-2.30
Fe 0.0000 0.0000 0.3014  6 S 2.48-2.58
Fe 0.0000 0.0000 0.8014  6 S 2.48-2.58
S 0.0919 0.5736 0.2719  1 Ga 2.30
S 0.0936 0.2320 0.5644  2 Fe 2.48-2.58
S 0.1384 0.9064 0.5644  2 Fe 2.48-2.58
S 0.2320 0.1384 0.0644  2 Fe 2.48-2.58
S 0.3333 0.6667 0.7925  1 Ga 2.26
S 0.4264 0.5184 0.2719  1 Ga 2.30
S 0.4816 0.9081 0.2719  1 Ga 2.30
S 0.5184 0.0919 0.7719  1 Ga 2.30
S 0.5736 0.4816 0.7719  1 Ga 2.30
S 0.6667 0.3333 0.2925  1 Ga 2.26
S 0.7680 0.8616 0.5644  2 Fe 2.48-2.58
S 0.8616 0.0936 0.0644  2 Fe 2.48-2.58
S 0.9064 0.7680 0.0644  2 Fe 2.48-2.58
S 0.9081 0.4264 0.7719  1 Ga 2.30

Values from the calculation:
MP2020-corrected energy	-75.93	eV per formula unit
DFT formation energy	-1.76	eV per atom
total magnetization	8.000	μB per cell
space group	P6_3, No. 173



Here is a geometry-optimized CaSiBHO5 structure from Materials Project. Energies are from PBE-GGA.

Cell lengths 4.9024, 7.7031, 9.7169 Å; angles 90.00, 90.22, 90.00 degrees
Closest atoms and distances in Å follow each position.
Fractional positions:
Ca 0.0093 0.1030 0.1629  5 O 2.29-2.55
Ca 0.0093 0.3970 0.6629  5 O 2.29-2.55
Ca 0.9907 0.6030 0.3371  5 O 2.29-2.55
Ca 0.9907 0.8970 0.8371  5 O 2.29-2.55
Si 0.4675 0.7356 0.5843  4 O 1.60-1.68
Si 0.4675 0.7644 0.0843  4 O 1.60-1.68
Si 0.5325 0.2356 0.9157  4 O 1.60-1.68
Si 0.5325 0.2644 0.4157  4 O 1.60-1.68
B 0.4325 0.0908 0.6596  4 O 1.48-1.50
B 0.4325 0.4092 0.1596  4 O 1.48-1.50
B 0.5675 0.5908 0.8404  4 O 1.48-1.50
B 0.5675 0.9092 0.3404  4 O 1.48-1.50
H 0.1932 0.5429 0.9236  1 O 0.98
H 0.1932 0.9571 0.4236  1 O 0.98
H 0.8068 0.0429 0.5764  1 O 0.98
H 0.8068 0.4571 0.0764  1 O 0.98
O 0.2383 0.6008 0.5372  1 Si 1.60
O 0.2383 0.8992 0.0372  1 Si 1.60
O 0.2607 0.5877 0.8357  1 H 0.98
O 0.2607 0.9123 0.3357  1 H 0.98
O 0.3154 0.5857 0.1457  1 B 1.48
O 0.3154 0.9143 0.6457  1 B 1.48
O 0.3269 0.1657 0.7897  1 B 1.48
O 0.3269 0.3343 0.2897  1 B 1.48
O 0.3312 0.2000 0.5434  1 B 1.49, 1 Si 1.66
O 0.3312 0.3000 0.0434  1 B 1.49, 1 Si 1.66
O 0.6688 0.7000 0.9566  1 B 1.49, 1 Si 1.66
O 0.6688 0.8000 0.4566  1 B 1.49, 1 Si 1.66
O 0.6731 0.6657 0.7103  1 B 1.48
O 0.6731 0.8343 0.2103  1 B 1.48
O 0.6846 0.0857 0.3543  1 B 1.48
O 0.6846 0.4143 0.8543  1 B 1.48
O 0.7393 0.0877 0.6643  1 H 0.98
O 0.7393 0.4123 0.1643  1 H 0.98
O 0.7617 0.1008 0.9628  1 Si 1.60
O 0.7617 0.3992 0.4628  1 Si 1.60

Values from the calculation:
MP2020-corrected energy	-68.64	eV per formula unit
DFT formation energy	-2.93	eV per atom
total magnetization	0.001	μB per cell
energy relative to the lowest polymorph listed for this composition	0	meV per atom
space group	P2_1/c, No. 14



Here is a geometry-optimized BaH2Br2O7 structure from Materials Project. Energies are from PBE-GGA.

Cell lengths 7.7855, 7.7855, 9.1836 Å; angles 124.45, 124.45, 64.74 degrees
Closest atoms and distances in Å follow each position.
Fractional positions:
Ba 0.1439 0.8561 0.7500  7 O 2.70-3.01
Ba 0.8561 0.1439 0.2500  7 O 2.70-3.01
H 0.2056 0.7088 0.1348  1 O 0.98
H 0.2912 0.7944 0.3652  1 O 0.98
H 0.7088 0.2056 0.6348  1 O 0.98
H 0.7944 0.2912 0.8652  1 O 0.98
Br 0.2862 0.3299 0.3067  3 O 1.68-1.70
Br 0.3299 0.2862 0.8067  3 O 1.68-1.70
Br 0.6701 0.7138 0.1933  3 O 1.68-1.70
Br 0.7138 0.6701 0.6933  3 O 1.68-1.70
O 0.1140 0.1723 0.6251  1 Br 1.68
O 0.1723 0.1140 0.1251  1 Br 1.68
O 0.1804 0.8196 0.2500  2 H 0.98
O 0.2155 0.4027 0.4799  1 Br 1.69
O 0.2416 0.5492 0.8975  1 Br 1.70
O 0.4027 0.2155 0.9799  1 Br 1.69
O 0.4508 0.7584 0.6025  1 Br 1.70
O 0.5492 0.2416 0.3975  1 Br 1.70
O 0.5973 0.7845 0.0201  1 Br 1.69
O 0.7584 0.4508 0.1025  1 Br 1.70
O 0.7845 0.5973 0.5201  1 Br 1.69
O 0.8196 0.1804 0.7500  2 H 0.98
O 0.8277 0.8860 0.8749  1 Br 1.68
O 0.8860 0.8277 0.3749  1 Br 1.68

Values from the calculation:
MP2020-corrected energy	-60.82	eV per formula unit
DFT formation energy	-1.18	eV per atom
total magnetization	0.001	μB per cell
space group	C2/c, No. 15



Here is a geometry-optimized MgBiSbO5 structure from Materials Project. Energies are from PBE-GGA.

Cell lengths 5.2306, 16.0941, 10.3583 Å; angles 90.00, 90.00, 90.00 degrees
Closest atoms and distances in Å follow each position.
Fractional positions:
Mg 0.0337 0.0608 0.1175  5 O 2.05-2.18
Mg 0.0337 0.4392 0.6175  5 O 2.05-2.18
Mg 0.4663 0.5608 0.1175  5 O 2.05-2.18
Mg 0.4663 0.9392 0.6175  5 O 2.05-2.18
Mg 0.5337 0.0608 0.3825  5 O 2.05-2.18
Mg 0.5337 0.4392 0.8825  5 O 2.05-2.18
Mg 0.9663 0.5608 0.3825  5 O 2.05-2.18
Mg 0.9663 0.9392 0.8825  5 O 2.05-2.18
Bi 0.0134 0.2242 0.3599  4 O 2.16-2.39
Bi 0.0134 0.2758 0.8599  4 O 2.16-2.39
Bi 0.4866 0.7242 0.3599  4 O 2.16-2.39
Bi 0.4866 0.7758 0.8599  4 O 2.16-2.39
Bi 0.5134 0.2242 0.1401  4 O 2.16-2.39
Bi 0.5134 0.2758 0.6401  4 O 2.16-2.39
Bi 0.9866 0.7242 0.1401  4 O 2.16-2.39
Bi 0.9866 0.7758 0.6401  4 O 2.16-2.39
Sb 0.0088 0.5840 0.8728  5 O 1.92-2.11
Sb 0.0088 0.9160 0.3728  5 O 1.92-2.11
Sb 0.4912 0.0840 0.8728  5 O 1.92-2.11
Sb 0.4912 0.4160 0.3728  5 O 1.92-2.11
Sb 0.5088 0.5840 0.6272  5 O 1.92-2.11
Sb 0.5088 0.9160 0.1272  5 O 1.92-2.11
Sb 0.9912 0.0840 0.6272  5 O 1.92-2.11
Sb 0.9912 0.4160 0.1272  5 O 1.92-2.11
O 0.1279 0.1923 0.6777  1 Sb 1.95
O 0.1279 0.3077 0.1777  1 Sb 1.95
O 0.1740 0.6473 0.2826  1 Mg 2.05, 2 Bi 2.16-2.20
O 0.1740 0.8527 0.7826  1 Mg 2.05, 2 Bi 2.16-2.20
O 0.2001 0.0301 0.7795  2 Sb 2.00-2.11, 1 Mg 2.18
O 0.2001 0.4699 0.2795  2 Sb 2.00-2.11, 1 Mg 2.18
O 0.2284 0.6359 0.0040  1 Sb 1.97, 1 Mg 2.09
O 0.2284 0.8641 0.5040  1 Sb 1.97, 1 Mg 2.09
O 0.2481 0.0340 0.5193  1 Sb 1.92, 1 Mg 2.10
O 0.2481 0.4660 0.0193  1 Sb 1.92, 1 Mg 2.10
O 0.2519 0.5340 0.5193  1 Sb 1.92, 1 Mg 2.10
O 0.2519 0.9660 0.0193  1 Sb 1.92, 1 Mg 2.10
O 0.2716 0.1359 0.0040  1 Sb 1.97, 1 Mg 2.09
O 0.2716 0.3641 0.5040  1 Sb 1.97, 1 Mg 2.09
O 0.2999 0.5301 0.7795  2 Sb 2.00-2.11, 1 Mg 2.18
O 0.2999 0.9699 0.2795  2 Sb 2.00-2.11, 1 Mg 2.18
O 0.3260 0.1473 0.2826  1 Mg 2.05, 2 Bi 2.16-2.20
O 0.3260 0.3527 0.7826  1 Mg 2.05, 2 Bi 2.16-2.20
O 0.3721 0.6923 0.6777  1 Sb 1.95
O 0.3721 0.8077 0.1777  1 Sb 1.95
O 0.6279 0.1923 0.8223  1 Sb 1.95
O 0.6279 0.3077 0.3223  1 Sb 1.95
O 0.6740 0.6473 0.2174  1 Mg 2.05, 2 Bi 2.16-2.20
O 0.6740 0.8527 0.7174  1 Mg 2.05, 2 Bi 2.16-2.20
O 0.7001 0.0301 0.7205  2 Sb 2.00-2.11, 1 Mg 2.18
O 0.7001 0.4699 0.2205  2 Sb 2.00-2.11, 1 Mg 2.18
O 0.7284 0.6359 0.4960  1 Sb 1.97, 1 Mg 2.09
O 0.7284 0.8641 0.9960  1 Sb 1.97, 1 Mg 2.09
O 0.7481 0.0340 0.9807  1 Sb 1.92, 1 Mg 2.10
O 0.7481 0.4660 0.4807  1 Sb 1.92, 1 Mg 2.10
O 0.7519 0.5340 0.9807  1 Sb 1.92, 1 Mg 2.10
O 0.7519 0.9660 0.4807  1 Sb 1.92, 1 Mg 2.10
O 0.7716 0.1359 0.4960  1 Sb 1.97, 1 Mg 2.09
O 0.7716 0.3641 0.9960  1 Sb 1.97, 1 Mg 2.09
O 0.7999 0.5301 0.7205  2 Sb 2.00-2.11, 1 Mg 2.18
O 0.7999 0.9699 0.2205  2 Sb 2.00-2.11, 1 Mg 2.18
O 0.8260 0.1473 0.2174  1 Mg 2.05, 2 Bi 2.16-2.20
O 0.8260 0.3527 0.7174  1 Mg 2.05, 2 Bi 2.16-2.20
O 0.8721 0.6923 0.8223  1 Sb 1.95
O 0.8721 0.8077 0.3223  1 Sb 1.95

Values from the calculation:
MP2020-corrected energy	-50.89	eV per formula unit
DFT formation energy	-2.07	eV per atom
total magnetization	0.002	μB per cell
energy relative to the lowest polymorph listed for this composition	0	meV per atom
space group	Pbca, No. 61



Here is a geometry-optimized LiB2SbO5 structure from Materials Project. Energies are from PBE-GGA.

Cell lengths 7.4496, 7.4496, 10.1478 Å; angles 108.92, 108.92, 93.40 degrees
Closest atoms and distances in Å follow each position.
Fractional positions:
Li 0.1220 0.8780 0.7500  2 O 1.93
Li 0.3637 0.6363 0.2500  2 O 1.96
Li 0.6363 0.3637 0.7500  2 O 1.96
Li 0.8780 0.1220 0.2500  2 O 1.93
B 0.1221 0.7641 0.4893  3 O 1.36-1.42
B 0.2359 0.8779 0.0107  3 O 1.36-1.42
B 0.2455 0.2973 0.6053  3 O 1.35-1.43
B 0.2973 0.2455 0.1053  3 O 1.35-1.43
B 0.7027 0.7545 0.8947  3 O 1.35-1.43
B 0.7545 0.7027 0.3947  3 O 1.35-1.43
B 0.7641 0.1221 0.9893  3 O 1.36-1.42
B 0.8779 0.2359 0.5107  3 O 1.36-1.42
Sb 0.0922 0.4399 0.8618  3 O 1.98-2.20
Sb 0.4399 0.0922 0.3618  3 O 1.98-2.20
Sb 0.5601 0.9078 0.6382  3 O 1.98-2.20
Sb 0.9078 0.5601 0.1382  3 O 1.98-2.20
O 0.0579 0.2373 0.4914  2 B 1.42-1.43
O 0.1452 0.6956 0.3558  1 B 1.36
O 0.1547 0.7244 0.8744  1 B 1.39
O 0.2373 0.0579 0.9914  2 B 1.42-1.43
O 0.2717 0.3549 0.7558  1 B 1.39
O 0.2756 0.8453 0.6256  1 B 1.39
O 0.2912 0.4045 0.0683  1 B 1.35
O 0.3044 0.8548 0.1442  1 B 1.36
O 0.3549 0.2717 0.2558  1 B 1.39
O 0.4045 0.2912 0.5683  1 B 1.35
O 0.5955 0.7088 0.4317  1 B 1.35
O 0.6451 0.7283 0.7442  1 B 1.39
O 0.6956 0.1452 0.8558  1 B 1.36
O 0.7088 0.5955 0.9317  1 B 1.35
O 0.7244 0.1547 0.3744  1 B 1.39
O 0.7283 0.6451 0.2442  1 B 1.39
O 0.7627 0.9421 0.0086  2 B 1.42-1.43
O 0.8453 0.2756 0.1256  1 B 1.39
O 0.8548 0.3044 0.6442  1 B 1.36
O 0.9421 0.7627 0.5086  2 B 1.42-1.43

Values from the calculation:
MP2020-corrected energy	-65.88	eV per formula unit
DFT formation energy	-2.42	eV per atom
total magnetization	0.005	μB per cell
space group	C2/c, No. 15